[1]
A relaxed Na2Mo2Se2O11 crystal. Source: the Materials Project, functional GGA+U.

Cell: 9.0640 9.0640 9.5742 Å, 67.40 67.40 42.98°
With the nearest neighbours (Å) after each atom.
Fractional positions:
O  0.2922  0.8238  0.9689  1 Mo 1.74
O  0.7747  0.5807  0.0255  1 Se 1.72
O  0.8526  0.9336  0.3070  1 Mo 1.76
O  0.2253  0.4193  0.9745  1 Se 1.72
O  0.4821  0.2746  0.7050  1 Se 1.72
O  0.5183  0.0293  0.2360  1 Se 1.78
O  0.6231  0.3769  0.2500  2 Mo 1.94
O  0.1474  0.0664  0.6930  1 Mo 1.76
O  0.0664  0.1474  0.1930  1 Mo 1.76
O  0.2746  0.4821  0.2050  1 Se 1.72
O  0.8238  0.2922  0.4689  1 Mo 1.74
O  0.9707  0.4817  0.2640  1 Se 1.78
O  0.1762  0.7078  0.5311  1 Mo 1.74
O  0.7078  0.1762  0.0311  1 Mo 1.74
O  0.0293  0.5183  0.7360  1 Se 1.78
O  0.4817  0.9707  0.7640  1 Se 1.78
O  0.5179  0.7254  0.2950  1 Se 1.72
O  0.9336  0.8526  0.8070  1 Mo 1.76
O  0.5807  0.7747  0.5255  1 Se 1.72
O  0.4193  0.2253  0.4745  1 Se 1.72
O  0.7254  0.5179  0.7950  1 Se 1.72
O  0.3769  0.6231  0.7500  2 Mo 1.94
Se  0.9196  0.4169  0.8891  3 O 1.72-1.78
Se  0.5831  0.0804  0.6109  3 O 1.72-1.78
Se  0.4169  0.9196  0.3891  3 O 1.72-1.78
Se  0.0804  0.5831  0.1109  3 O 1.72-1.78
Na  0.0000  0.5000  0.5000  4 O 2.45-2.57
Na  0.2463  0.7537  0.2500  7 O 2.46-2.52
Na  0.5000  0.0000  0.0000  4 O 2.45-2.57
Na  0.7537  0.2463  0.7500  7 O 2.46-2.52
Mo  0.1781  0.6163  0.7269  2 O 1.74-1.76
Mo  0.8219  0.3837  0.2731  2 O 1.74-1.76
Mo  0.3837  0.8219  0.7731  2 O 1.74-1.76
Mo  0.6163  0.1781  0.2269  2 O 1.74-1.76

ΔE_f (eV per atom): -1.790
Electronic total energy (eV per cell): -204.43

---

[2]
A relaxed Li9Mn2Co5O16 crystal. Source: the Materials Project, functional GGA+U.

Cell: 5.8406 5.9128 9.7278 Å, 91.85 99.20 119.39°
With the nearest neighbours (Å) after each atom.
Fractional positions:
Co  0.0055  0.5040  0.0048  5 O 1.88-2.05
Co  0.7544  0.1302  0.7439  5 O 1.86-2.07
Co  0.2465  0.8779  0.2539  4 O 1.88-1.97
Co  0.4943  0.7434  0.4979  6 O 1.98-2.09
Co  0.2494  0.3659  0.2615  5 O 1.89-2.09
O  0.4042  0.4557  0.6327  1 Mn 1.88, 3 Li 2.03-2.08, 1 Co 2.09
O  0.5884  0.0302  0.3704  2 Co 1.88-2.04, 3 Li 2.02-2.07
O  0.6008  0.5589  0.3706  2 Co 1.89-1.98, 2 Li 2.06
O  0.8877  0.1905  0.1147  1 Mn 1.95, 2 Co 2.04-2.09, 1 Li 2.06
O  0.3555  0.1934  0.1143  1 Mn 1.91, 2 Li 2.04-2.08, 1 Co 2.07
O  0.4145  0.9429  0.6302  2 Co 1.86-1.98, 1 Li 2.03
O  0.3428  0.6868  0.1262  2 Co 1.88-1.97
O  0.1223  0.5490  0.3748  3 Co 1.98-2.17, 3 Li 2.03-2.04
O  0.0921  0.2829  0.8787  2 Co 1.94-2.05, 1 Mn 1.96
O  0.8599  0.9205  0.6369  1 Mn 1.96, 2 Co 1.97-2.07, 2 Li 2.08-2.19
O  0.1332  0.0554  0.3637  2 Co 1.88-1.98, 2 Li 2.05-2.07
O  0.6508  0.8100  0.8786  2 Mn 1.94-2.01, 2 Li 2.11-2.16
O  0.6576  0.3391  0.8636  1 Mn 1.96, 2 Co 2.00-2.01, 1 Li 2.14
O  0.8776  0.4549  0.6371  1 Mn 1.88, 2 Li 2.01-2.10, 1 Co 2.07
O  0.1059  0.8154  0.8790  2 Mn 1.95-2.01, 1 Li 2.12, 1 Co 2.13
O  0.9042  0.7269  0.1180  1 Mn 1.94, 2 Co 1.97-2.05, 2 Li 2.11-2.14
Li  0.5009  0.2466  0.5006  6 O 2.06-2.16
Li  0.4998  0.5047  0.0034  6 O 2.04-2.20
Li  0.2598  0.1294  0.7390  6 O 2.08-2.24
Li  0.2591  0.6364  0.7427  5 O 2.01-2.21
Li  0.0000  0.2558  0.4986  5 O 2.04-2.21
Li  0.4974  0.9970  0.0043  5 O 2.06-2.18
Li  0.7377  0.3565  0.2649  5 O 2.03-2.24
Li  0.7442  0.8686  0.2556  5 O 2.02-2.18
Li  0.9998  0.7437  0.4945  6 O 2.04-2.25
Mn  0.0035  0.0053  0.9997  6 O 1.91-1.96
Mn  0.7504  0.6222  0.7452  6 O 1.88-2.01

ΔE_f (eV per atom): -1.822
Electronic total energy (eV per cell): -186.01

---

[3]
A relaxed Li3FeP2O8 crystal. Source: the Materials Project, functional GGA+U.

Cell: 8.7423 8.7506 9.2029 Å, 87.83 87.35 66.63°
With the nearest neighbours (Å) after each atom.
Fractional positions:
O  0.9823  0.6872  0.0994  1 P 1.57
O  0.0003  0.1241  0.1531  1 P 1.54
O  0.1061  0.0189  0.6116  1 P 1.54
O  0.1603  0.5734  0.8806  1 P 1.58
O  0.3164  0.4639  0.2943  1 P 1.54
O  0.8866  0.9742  0.3892  1 P 1.54
O  0.1604  0.3138  0.1407  1 P 1.57
O  0.6540  0.5277  0.4387  1 P 1.57
O  0.3657  0.9543  0.0545  1 P 1.52
O  0.9659  0.8875  0.8809  1 P 1.53
O  0.3097  0.1534  0.6556  1 P 1.57
O  0.0445  0.2624  0.9089  1 P 1.56
O  0.3142  0.0188  0.4074  1 P 1.57
O  0.7430  0.2569  0.9150  1 P 1.57
O  0.4224  0.8389  0.6234  1 P 1.57
O  0.2610  0.7267  0.0936  1 P 1.55
O  0.8466  0.6704  0.8606  1 P 1.57
O  0.5217  0.6681  0.9370  1 P 1.58
O  0.2672  0.7340  0.4176  1 P 1.56
O  0.7312  0.2591  0.5813  1 P 1.56
O  0.5693  0.1517  0.3812  1 P 1.57
O  0.3319  0.4637  0.5639  1 P 1.57
O  0.4740  0.3434  0.0613  1 P 1.57
O  0.5998  0.0571  0.9385  1 P 1.52
O  0.9432  0.3771  0.5475  1 P 1.52
O  0.8457  0.4337  0.1056  1 P 1.58
O  0.6799  0.9849  0.6022  1 P 1.58
O  0.0505  0.6208  0.4532  1 P 1.52
O  0.6861  0.8332  0.3690  1 P 1.55
O  0.6799  0.5263  0.7093  1 P 1.54
O  0.4681  0.3262  0.7924  1 P 1.55
O  0.5284  0.6914  0.2055  1 P 1.56
Fe  0.4938  0.7625  0.4097  6 O 1.97-2.17
Fe  0.5074  0.2334  0.5950  6 O 1.98-2.15
Fe  0.7526  0.5003  0.9119  5 O 1.96-2.16
Fe  0.2347  0.5049  0.0917  6 O 2.00-2.15
P  0.7108  0.9831  0.4321  4 O 1.54-1.58
P  0.0151  0.2775  0.0777  4 O 1.54-1.58
P  0.2838  0.0098  0.5760  4 O 1.54-1.57
P  0.7561  0.4262  0.5706  4 O 1.52-1.57
P  0.2379  0.5690  0.4299  4 O 1.52-1.57
P  0.5713  0.2396  0.9268  4 O 1.52-1.57
P  0.4177  0.7677  0.0720  4 O 1.52-1.58
P  0.9867  0.7114  0.9290  4 O 1.53-1.58
Li  0.4181  0.5792  0.7603  3 O 2.09-2.20
Li  0.1042  0.8951  0.2349  3 O 1.98-2.21
Li  0.8779  0.6354  0.2914  3 O 2.00-2.13
Li  0.2903  0.1109  0.8911  2 O 1.95-2.03
Li  0.8634  0.0449  0.0344  3 O 1.94-2.04
Li  0.6482  0.8661  0.7841  3 O 2.00-2.13
Li  0.1214  0.3971  0.6672  2 O 2.02-2.12
Li  0.5643  0.4367  0.2468  4 O 2.11-2.26
Li  0.9312  0.1046  0.7690  3 O 1.99-2.12
Li  0.3682  0.1397  0.2351  2 O 2.01-2.06
Li  0.9560  0.1549  0.4514  4 O 2.01-2.14
Li  0.0400  0.8423  0.5376  4 O 1.95-2.11

ΔE_f (eV per atom): -2.493
Electronic total energy (eV per cell): -367.03

---

[4]
A relaxed V4OF11 crystal. Source: the Materials Project, functional GGA+U.

Cell: 5.2537 5.4493 17.4976 Å, 89.24 98.27 118.34°
With the nearest neighbours (Å) after each atom.
Fractional positions:
V  0.0077  0.9850  0.9926  1 O 1.68
V  0.7531  0.3703  0.1238  6 F 1.97-1.99
V  0.2492  0.1262  0.3754  6 F 1.96-2.00
V  0.5010  0.2476  0.7482  5 F 1.97-1.98, 1 O 1.97
V  0.2474  0.6285  0.8763  5 F 1.96-1.99, 1 O 1.97
V  0.7349  0.8929  0.6276  1 O 1.69
V  0.5008  0.7483  0.2495  6 F 1.96-1.99
V  0.9973  0.5048  0.5017  6 F 1.95-1.99
F  0.4260  0.9118  0.3389  2 V 1.96-1.99
F  0.4773  0.4379  0.3117  2 V 1.96-1.99
F  0.4239  0.2148  0.0372  2 V 1.97
F  0.0736  0.3403  0.4123  2 V 1.96-1.99
F  0.9801  0.6946  0.0641  2 V 1.97-1.99
F  0.5794  0.7882  0.9628  2 V 1.97-1.98
F  0.0243  0.3097  0.9372  2 V 1.98
F  0.5249  0.0604  0.1875  2 V 1.97-1.99
F  0.9248  0.1561  0.0822  2 V 1.98-2.03
F  0.9279  0.9640  0.2868  2 V 1.97-1.98
F  0.0770  0.0327  0.7116  2 V 1.97-1.98
F  0.5254  0.5579  0.6849  2 V 1.97-1.98
F  0.5734  0.5842  0.1608  2 V 1.97-1.98
F  0.9172  0.6747  0.5890  2 V 1.99-2.02
F  0.4699  0.9382  0.8137  2 V 1.96-1.98
F  0.4271  0.7147  0.5376  2 V 1.96-1.99
F  0.9735  0.1870  0.5623  2 V 1.98
F  0.9235  0.4656  0.7881  2 V 1.97-1.98
F  0.4227  0.4139  0.8360  2 V 1.98-1.99
F  0.5725  0.2875  0.4643  2 V 1.98
F  0.0729  0.5339  0.2122  2 V 1.97-1.99
F  0.0219  0.8128  0.4391  2 V 1.95-2.00
O  0.0783  0.8401  0.9197  1 V 1.68
O  0.5913  0.0753  0.6648  1 V 1.69

ΔE_f (eV per atom): -3.130
Electronic total energy (eV per cell): -199.72

---

[5]
A relaxed BaSrPrCoO6 crystal. Source: the Materials Project, functional GGA+U.

Cell: 5.9054 5.8946 8.4084 Å, 90.07 89.99 89.40°
With the nearest neighbours (Å) after each atom.
Fractional positions:
Ba  0.0002  0.9973  0.7504  12 O 2.83-3.13
Ba  0.9998  0.0027  0.2496  12 O 2.83-3.13
Sr  0.4996  0.5032  0.2503  12 O 2.80-3.12
Sr  0.5004  0.4968  0.7497  12 O 2.80-3.12
O  0.0273  0.4992  0.2251  1 Co 1.90
O  0.2388  0.7111  0.9877  1 Co 1.89
O  0.9727  0.5008  0.7749  1 Co 1.90
O  0.4785  0.9982  0.2748  1 Co 1.90
O  0.5215  0.0018  0.7252  1 Co 1.90
O  0.7612  0.2889  0.0123  1 Co 1.89
O  0.7120  0.2414  0.4882  1 Co 1.91
O  0.7295  0.7873  0.4884  1 Co 1.84
O  0.7864  0.7319  0.0120  1 Co 1.85
O  0.2880  0.7586  0.5118  1 Co 1.91
O  0.2136  0.2681  0.9880  1 Co 1.85
O  0.2705  0.2127  0.5116  1 Co 1.84
Pr  0.0000  0.5000  0.5000  6 O 2.30-2.32
Pr  0.5000  0.0000  0.0000  6 O 2.30-2.31
Co  0.5000  0.0000  0.5000  6 O 1.84-1.91
Co  0.0000  0.5000  0.0000  6 O 1.85-1.90

ΔE_f (eV per atom): -2.465
Electronic total energy (eV per cell): -128.16

---

[6]
A relaxed Fe3B7IO13 crystal. Source: the Materials Project, functional GGA+U.

Cell: 8.7268 8.7268 8.7268 Å, 60.00 60.00 60.00°
With the nearest neighbours (Å) after each atom.
Fractional positions:
O  0.5000  0.5000  0.5000  4 B 1.70
O  0.7036  0.9364  0.1066  2 B 1.44-1.48
O  0.6066  0.7534  0.4364  2 B 1.44-1.48
O  0.1066  0.7036  0.9364  2 B 1.44-1.48
O  0.2036  0.6066  0.4364  2 B 1.44-1.48
O  0.7534  0.2036  0.4364  2 B 1.44-1.48
O  0.9364  0.1066  0.7036  2 B 1.44-1.48
O  0.7534  0.4364  0.6066  2 B 1.44-1.48
O  0.9364  0.2534  0.1066  2 B 1.44-1.48
O  0.0000  0.0000  0.0000  4 B 1.70
O  0.4364  0.7534  0.2036  2 B 1.44-1.48
O  0.7036  0.2534  0.9364  2 B 1.44-1.48
O  0.2534  0.9364  0.7036  2 B 1.44-1.48
O  0.4364  0.2036  0.6066  2 B 1.44-1.48
O  0.1066  0.2534  0.7036  2 B 1.44-1.48
O  0.4364  0.6066  0.7534  2 B 1.44-1.48
O  0.2036  0.7534  0.6066  2 B 1.44-1.48
O  0.1066  0.9364  0.2534  2 B 1.44-1.48
O  0.6066  0.4364  0.2036  2 B 1.44-1.48
O  0.7534  0.6066  0.2036  2 B 1.44-1.48
O  0.2534  0.1066  0.9364  2 B 1.44-1.48
O  0.2534  0.7036  0.1066  2 B 1.44-1.48
O  0.7036  0.1066  0.2534  2 B 1.44-1.48
O  0.6066  0.2036  0.7534  2 B 1.44-1.48
O  0.2036  0.4364  0.7534  2 B 1.44-1.48
O  0.9364  0.7036  0.2534  2 B 1.44-1.48
B  0.7500  0.7500  0.2500  4 O 1.48
B  0.0797  0.0797  0.0797  3 O 1.44
B  0.2500  0.2500  0.7500  4 O 1.48
B  0.7500  0.2500  0.7500  4 O 1.48
B  0.7500  0.2500  0.2500  4 O 1.48
B  0.5797  0.5797  0.2610  3 O 1.44
B  0.2610  0.5797  0.5797  3 O 1.44
B  0.2500  0.7500  0.2500  4 O 1.48
B  0.0797  0.7610  0.0797  3 O 1.44
B  0.5797  0.5797  0.5797  3 O 1.44
B  0.7610  0.0797  0.0797  3 O 1.44
B  0.2500  0.7500  0.7500  4 O 1.48
B  0.5797  0.2610  0.5797  3 O 1.44
B  0.0797  0.0797  0.7610  3 O 1.44
Fe  0.0000  0.5000  0.5000  4 O 2.12
Fe  0.0000  0.0000  0.5000  4 O 2.12
Fe  0.5000  0.0000  0.5000  4 O 2.12
Fe  0.5000  0.0000  0.0000  4 O 2.12
Fe  0.5000  0.5000  0.0000  4 O 2.12
Fe  0.0000  0.5000  0.0000  4 O 2.12
I  0.7500  0.7500  0.7500  6 Fe 3.09
I  0.2500  0.2500  0.2500  6 Fe 3.09

ΔE_f (eV per atom): -2.426
Electronic total energy (eV per cell): -361.06

---

Number 1: total energy after the MP2020 corrections -6.834 eV per atom. Number 2: total energy after the MP2020 corrections -6.516 eV per atom. Number 3: total energy after the MP2020 corrections -7.108 eV per atom. Number 4: total energy after the MP2020 corrections -7.027 eV per atom. Number 5: total energy after the MP2020 corrections -6.984 eV per atom. Number 6: total energy after the MP2020 corrections -8.176 eV per atom.